(1)
This record from the Materials Project database describes crystalline Lu3AlNi8 at its relaxed geometry. The functional is PBE.

Values from the calculation:
SG   No. 194
Formation enthalpy at 0 K   -515 meV per atom
Polymorph energy (0 for the lowest one)   0.00 eV/f.u.

POSCAR file:
```
Lu3AlNi8
1.0
2.4834 -4.3014 0.0000
2.4834 4.3014 0.0000
0.0000 0.0000 15.8081
Ni Al Lu
16 2 6
direct
0.0000 0.0000 0.2500
0.6668 0.8334 0.3749
0.0000 0.0000 0.5000
0.0000 0.0000 0.0000
0.8334 0.6668 0.6251
0.6668 0.8334 0.1251
0.3332 0.1666 0.6251
0.1666 0.8334 0.3749
0.1666 0.3332 0.1251
0.8334 0.6668 0.8749
0.3332 0.1666 0.8749
0.1666 0.3332 0.3749
0.8334 0.1666 0.8749
0.0000 0.0000 0.7500
0.1666 0.8334 0.1251
0.8334 0.1666 0.6251
0.3333 0.6667 0.2500
0.6667 0.3333 0.7500
0.6667 0.3333 0.0415
0.3333 0.6667 0.7500
0.6667 0.3333 0.2500
0.6667 0.3333 0.4585
0.3333 0.6667 0.9585
0.3333 0.6667 0.5415
```

***

(2)
This record from the Materials Project database describes crystalline LuAl2Ni at its relaxed geometry. The functional is PBE.

Values from the calculation:
SG   No. 63
Formation enthalpy at 0 K   -654 meV per atom

POSCAR file:
```
LuAl2Ni
1.0
2.0135 -4.9389 0.0000
2.0135 4.9389 0.0000
0.0000 0.0000 6.8646
Ni Al Lu
2 4 2
direct
0.2850 0.7150 0.2500
0.7150 0.2850 0.7500
0.1512 0.8488 0.5538
0.8488 0.1512 0.0538
0.8488 0.1512 0.4462
0.1512 0.8488 0.9462
0.5640 0.4360 0.2500
0.4360 0.5640 0.7500
```

***

(3)
This record from the Materials Project database describes crystalline LuAl4Ni at its relaxed geometry. The functional is PBE.

Values from the calculation:
SG   No. 63
Formation enthalpy at 0 K   -523 meV per atom

POSCAR file:
```
LuAl4Ni
1.0
2.3854 3.2535 -6.7162
-2.7458 0.6935 7.3050
6.2564 0.2236 2.3304
Lu Ni Al
2 2 8
direct
0.1207 0.8793 0.7500
0.8793 0.1207 0.2500
0.7714 0.2286 0.7500
0.2286 0.7714 0.2500
0.6871 0.3129 0.0536
0.3129 0.6871 0.9464
0.5000 0.5000 0.5000
0.9255 0.0745 0.7500
0.5000 0.5000 0.0000
0.3129 0.6871 0.5536
0.6871 0.3129 0.4464
0.0745 0.9255 0.2500
```

***

(4)
This record from the Materials Project database describes crystalline Lu2AlNi2 at its relaxed geometry. The functional is PBE.

Values from the calculation:
SG   No. 71
Formation enthalpy at 0 K   -603 meV per atom

POSCAR file:
```
Lu2AlNi2
1.0
-2.0407 2.6812 4.0716
2.0407 -2.6812 4.0716
2.0407 2.6812 -4.0716
Lu Ni Al
2 2 1
direct
0.7031 0.2031 0.5000
0.2969 0.7969 0.5000
0.7288 0.5000 0.2288
0.2712 0.5000 0.7712
0.0000 0.0000 0.0000
```

***

(5)
This record from the Materials Project database describes crystalline Lu3AlNi8 at its relaxed geometry. The functional is PBE.

Values from the calculation:
SG   No. 194
Formation enthalpy at 0 K   -498 meV per atom
Polymorph energy (0 for the lowest one)   0.20 eV/f.u.

POSCAR file:
```
Lu3AlNi8
1.0
-2.8807 0.3074 -4.0676
0.1750 -4.2474 2.6206
-12.0816 5.0152 8.9353
Ni Lu Al
16 6 2
direct
0.0000 0.0000 0.7500
0.6615 0.8308 0.3751
0.1692 0.3385 0.1249
0.6667 0.3333 0.7500
0.0000 0.0000 0.2500
0.8308 0.1692 0.6249
0.1692 0.8308 0.1249
0.8308 0.6615 0.6249
0.8308 0.1692 0.8751
0.1692 0.8308 0.3751
0.6615 0.8308 0.1249
0.3385 0.1692 0.6249
0.1692 0.3385 0.3751
0.3385 0.1692 0.8751
0.3333 0.6667 0.2500
0.8308 0.6615 0.8751
0.3333 0.6667 0.9562
0.6667 0.3333 0.0438
0.6667 0.3333 0.2500
0.3333 0.6667 0.5438
0.6667 0.3333 0.4562
0.3333 0.6667 0.7500
0.0000 0.0000 0.5000
0.0000 0.0000 0.0000
```

***

(6)
This record from the Materials Project database describes crystalline Lu4Al2O9 at its relaxed geometry. The functional is PBE.

Values from the calculation:
SG   No. 14
Formation enthalpy at 0 K   -3875 meV per atom
Polymorph energy (0 for the lowest one)   0.06 eV/f.u.

POSCAR file:
```
Lu4Al2O9
1.0
10.3068 0.0000 0.0000
0.0000 7.2162 0.0000
0.0000 3.4270 10.5050
Al Lu O
8 16 36
direct
0.6759 0.0498 0.6244
0.8241 0.0498 0.1244
0.6816 0.5882 0.6127
0.3241 0.9502 0.3756
0.1816 0.4118 0.8873
0.3184 0.4118 0.3873
0.1759 0.9502 0.8756
0.8184 0.5882 0.1127
0.4039 0.7752 0.6949
0.3878 0.2666 0.7152
0.1290 0.0926 0.5596
0.8710 0.9074 0.4404
0.0961 0.7752 0.1949
0.8832 0.4158 0.4102
0.1168 0.5842 0.5898
0.6168 0.4158 0.9102
0.9039 0.2248 0.8051
0.8878 0.7335 0.7848
0.6122 0.7335 0.2848
0.1122 0.2666 0.2152
0.3832 0.5842 0.0898
0.5961 0.2248 0.3051
0.6290 0.9074 0.9404
0.3710 0.0926 0.0596
0.5009 0.1674 0.8911
0.7582 0.0236 0.7702
0.2357 0.8119 0.0242
0.5083 0.0661 0.6439
0.4933 0.6892 0.8928
0.2418 0.9764 0.2298
0.4991 0.8326 0.1089
0.4772 0.4739 0.3313
0.2582 0.9764 0.7298
0.9933 0.3108 0.6072
0.4917 0.9339 0.3561
0.0067 0.6892 0.3928
0.7418 0.0236 0.2702
0.7357 0.1881 0.4758
0.2398 0.3830 0.0423
0.7306 0.8224 0.6141
0.2722 0.5336 0.7516
0.9772 0.5261 0.1687
0.2694 0.1776 0.3859
0.0083 0.9339 0.8561
0.7398 0.6170 0.4577
0.0009 0.8326 0.6089
0.2278 0.5336 0.2516
0.7602 0.6170 0.9577
0.0228 0.4739 0.8313
0.7278 0.4664 0.2484
0.7722 0.4664 0.7484
0.2306 0.1776 0.8859
0.5228 0.5261 0.6687
0.5067 0.3108 0.1072
0.7643 0.1881 0.9758
0.9917 0.0661 0.1439
0.7694 0.8224 0.1141
0.9991 0.1674 0.3911
0.2643 0.8119 0.5242
0.2602 0.3830 0.5423
```